14
Lattice="7.6889 0.0000 0.0000 -3.8445 6.6588 0.0000 0.0000 0.0000 9.4997" Properties=species:S:1:pos:R:3 comment="meta-GGA r2SCAN Cs3Bi2Cl9, optimized geometry" volume_a3_per_cell=486.4 energy_ev_per_atom=-19.34 ef_mev_per_atom=-1642.8 space_group="No. 150" pbc="T T T"
Cs 0.0000 0.0000 0.0000
Cs 0.0000 4.4392 3.2346
Cs 3.8445 2.2196 6.2651
Bi 0.0000 4.4392 7.7273
Bi 3.8445 2.2196 1.7723
Cl -1.8544 3.2120 0.0000
Cl -1.9102 5.4699 6.3179
Cl 0.0625 2.2696 6.3179
Cl 1.9343 1.1889 3.1818
Cl 3.7089 0.0000 0.0000
Cl 1.9900 3.4468 0.0000
Cl 1.8477 5.5781 6.3179
Cl 5.6922 1.0807 3.1818
Cl 3.9070 4.3892 3.1818

***

28
Lattice="9.1874 -4.6948 0.0000 9.1874 4.6948 0.0000 -4.5755 0.0000 9.4275" Properties=species:S:1:pos:R:3 comment="meta-GGA r2SCAN Hg3S2Br2, optimized geometry" volume_a3_per_cell=813.3 energy_ev_per_atom=-27.64 ef_mev_per_atom=-400.4 space_group="No. 12" pbc="T T T"
Hg 2.2175 2.4831 9.3895
Hg 4.6256 2.5153 6.6843
Hg 1.9596 0.0000 6.7627
Hg 9.1737 2.5153 2.7432
Hg 11.5819 2.4831 0.0380
Hg 6.5642 0.0000 2.5550
Hg 7.2352 0.0000 6.8725
Hg 2.2175 -2.4831 9.3895
Hg 4.6256 -2.5153 6.6843
Hg 11.8398 0.0000 2.6648
Hg 9.1737 -2.5153 2.7432
Hg 11.5819 -2.4831 0.0380
S 2.2104 2.4101 6.9782
S 6.7688 2.4118 2.3724
S 7.0305 2.4118 7.0551
S 11.5890 2.4101 2.4493
S 2.2104 -2.4101 6.9782
S 6.7688 -2.4118 2.3724
S 7.0305 -2.4118 7.0551
S 11.5890 -2.4101 2.4493
Br 0.0000 0.0000 0.0000
Br -0.0768 0.0000 4.6852
Br 0.0409 0.0000 9.3999
Br 4.6711 0.0000 4.8505
Br 9.1874 0.0000 0.0000
Br 9.1282 0.0000 4.5770
Br 13.7585 0.0000 0.0276
Br 13.8762 0.0000 4.7423

***

50
Lattice="6.1580 0.0000 0.0000 3.0767 10.0806 0.0000 3.0781 2.6783 13.1233" Properties=species:S:1:pos:R:3 comment="meta-GGA r2SCAN Ba10Nb3Bi7O30, optimized geometry" volume_a3_per_cell=814.6 energy_ev_per_atom=-20.93 ef_mev_per_atom=-2373.9 space_group="No. 2" pbc="T T T"
Ba 1.5468 3.1858 3.2235
Ba 4.6324 4.0572 12.4848
Ba 4.6320 7.7477 5.8820
Ba 4.6247 2.2216 8.5748
Ba 4.6259 5.9808 1.9323
Ba 7.6868 6.7782 11.1910
Ba 7.6880 10.5373 4.5486
Ba 7.6808 5.0113 7.2414
Ba 7.6804 8.7017 0.6386
Ba 10.7660 9.5731 9.8998
Nb 1.5383 5.0403 0.0000
Nb 4.6029 9.6191 2.6240
Nb 7.7099 3.1398 10.4993
Bi 1.5390 1.3392 6.5617
Bi 4.6132 5.8874 9.2307
Bi 7.6889 10.4889 11.8502
Bi 4.6144 4.1016 5.2427
Bi 7.6983 8.6573 7.8807
Bi 4.6238 2.2700 1.2731
Bi 7.6995 6.8715 3.8926
O 3.1133 4.3813 10.2218
O 5.8808 11.9094 11.3921
O 4.2986 10.4522 4.4204
O 4.9320 6.8880 11.3076
O 3.3285 5.5235 4.3022
O 2.9380 2.8210 5.5637
O 6.1519 8.9924 12.8028
O 4.2779 4.9737 7.1566
O 2.8263 3.7140 0.8206
O 4.9283 8.7431 0.7991
O 6.4053 10.0740 6.9400
O 6.0355 7.3590 8.2288
O 3.0832 0.7771 2.2381
O 5.8764 8.2833 3.4444
O 7.3689 9.5780 9.7688
O 4.9438 3.1809 3.3545
O 6.4363 4.4756 9.6789
O 9.2295 11.9819 10.8853
O 6.2772 5.4000 4.8945
O 5.9074 2.6849 6.1833
O 7.3845 4.0159 12.3243
O 9.4864 9.0449 12.3027
O 8.0349 7.7853 5.9668
O 6.1609 3.7665 0.3205
O 9.3747 9.9379 7.5597
O 8.9842 7.2355 8.8212
O 7.3808 5.8710 1.8157
O 8.0141 2.3067 8.7030
O 6.4320 0.8496 1.7312
O 9.1994 8.3777 2.9016

***

9
Lattice="7.3537 0.0000 0.0000 -3.6768 6.3685 0.0000 0.0000 0.0000 4.3976" Properties=species:S:1:pos:R:3 comment="meta-GGA r2SCAN LiPrGe, optimized geometry" volume_a3_per_cell=205.9 energy_ev_per_atom=-15.99 ef_mev_per_atom=-771.2 space_group="No. 189" pbc="T T T"
Li -0.8543 1.4797 0.0000
Li 1.7087 0.0000 0.0000
Li 2.8225 4.8887 0.0000
Pr -2.1409 3.7081 2.1988
Pr 1.5360 2.6604 2.1988
Pr 4.2817 0.0000 2.1988
Ge 0.0000 0.0000 2.1988
Ge 0.0000 4.2457 0.0000
Ge 3.6768 2.1228 0.0000

***

Number 1: M_tot 0.000 μB per atom. Number 2: M_tot 0.000 μB per atom. Number 3: M_tot 0.000 μB per atom. Number 4: M_tot 0.000 μB per atom.